The following is a DFT calculation (PBE-GGA) of a relaxed TaBr5N2 crystal.

The value obtained for the formation energy is 0.4161 eV/atom.

It has space group P4/mnc (No. 128), with a = 7.498 Å, b = 7.498 Å, c = 19.966 Å, α = 90.00°, β = 90.00° and γ = 90.00°. The asymmetric unit holds Ta at (0.000, 0.000, 0.095), Br at (0.000, 0.000, 0.233), Br at (0.184, 0.281, 0.107), N at (0.000, 0.000, 0.000), N at (0.000, 0.000, 0.500) and N at (0.000, 0.500, 0.250).